Entry 1:
NiS2: optimized geometry, GGA-PBE.

abc: 5.351 3.761 5.446
angles: 59.42 90.00 90.00
Positions (direct):
Ni (0.000, 0.500, 0.500)
Ni (0.500, 0.500, 0.000)
S (0.114, 0.668, 0.821)
S (0.386, 0.668, 0.321)
S (0.886, 0.332, 0.179)
S (0.614, 0.332, 0.679)

Results
Symmetry = P2_1/c (14)
Crystal system = monoclinic
Formation enthalpy at 0 K = -570 meV/atom

Entry 2:
K2CuTeO7: optimized geometry, GGA-PBE.

abc: 5.680 5.680 11.902
angles: 88.21 88.21 70.50
Positions (direct):
K (0.088, 0.529, 0.822)
K (0.529, 0.088, 0.322)
K (0.950, 0.491, 0.179)
K (0.491, 0.950, 0.679)
Cu (0.012, 0.995, 0.497)
Cu (0.995, 0.012, 0.997)
Te (0.997, 0.500, 0.498)
Te (0.500, 0.997, 0.998)
O (0.996, 0.225, 0.605)
O (0.225, 0.996, 0.105)
O (0.026, 0.761, 0.388)
O (0.761, 0.026, 0.888)
O (0.009, 0.240, 0.390)
O (0.240, 0.009, 0.890)
O (0.992, 0.761, 0.605)
O (0.761, 0.992, 0.105)
O (0.356, 0.350, 0.516)
O (0.350, 0.356, 0.016)
O (0.640, 0.650, 0.490)
O (0.650, 0.640, 0.990)
O (0.638, 0.414, 0.783)
O (0.414, 0.638, 0.283)

Results
Symmetry = Cc (9)
Crystal system = monoclinic
Formation enthalpy at 0 K = -1132 meV/atom

Entry 3:
BiN: optimized geometry, GGA-PBE.

abc: 3.180 3.180 3.180
angles: 90.00 90.00 90.00
Positions (direct):
Bi (0.000, 0.000, 0.000)
N (0.500, 0.500, 0.500)

Results
Symmetry = Pm-3m (221)
Crystal system = cubic
Formation enthalpy at 0 K = 1154 meV/atom

Entry 4:
HoFe2Ge2: optimized geometry, GGA-PBE.

abc: 3.930 3.930 6.040
angles: 108.99 108.99 90.00
Positions (direct):
Ho (0.000, 0.000, 0.000)
Fe (0.250, 0.750, 0.500)
Fe (0.750, 0.250, 0.500)
Ge (0.617, 0.617, 0.234)
Ge (0.383, 0.383, 0.766)

Results
Symmetry = I4/mmm (139)
Crystal system = tetragonal
Formation enthalpy at 0 K = -444 meV/atom

Entry 5:
TeMo2SeS2: optimized geometry, GGA-PBE.

abc: 3.308 3.308 37.557
angles: 90.00 90.00 120.00
Positions (direct):
Te (0.333, 0.667, 0.708)
Te (0.333, 0.667, 0.607)
Mo (0.333, 0.667, 0.094)
Mo (0.333, 0.667, 0.470)
Mo (0.667, 0.333, 0.282)
Mo (0.667, 0.333, 0.658)
Se (0.667, 0.333, 0.049)
Se (0.667, 0.333, 0.139)
S (0.333, 0.667, 0.322)
S (0.667, 0.333, 0.429)
S (0.667, 0.333, 0.510)
S (0.333, 0.667, 0.241)

Results
Symmetry = P3m1 (156)
Crystal system = trigonal
Formation enthalpy at 0 K = -786 meV/atom

Entry 6:
NaCaN: optimized geometry, GGA-PBE.

abc: 3.827 3.827 10.025
angles: 90.00 90.00 120.00
Positions (direct):
Na (0.667, 0.333, 0.726)
Na (0.333, 0.667, 0.226)
Ca (0.000, 0.000, 0.520)
Ca (0.000, 0.000, 0.020)
N (0.333, 0.667, 0.599)
N (0.667, 0.333, 0.099)

Results
Symmetry = P6_3mc (186)
Crystal system = hexagonal
Formation enthalpy at 0 K = -336 meV/atom

Entry 7:
Ba2InIrO6: optimized geometry, GGA-PBE.

abc: 5.936 5.936 14.833
angles: 90.00 90.00 120.00
Positions (direct):
Ba (0.333, 0.667, 0.410)
Ba (0.667, 0.333, 0.904)
Ba (0.000, 0.000, 0.248)
Ba (0.000, 0.000, 0.752)
Ba (0.667, 0.333, 0.590)
Ba (0.333, 0.667, 0.096)
In (0.667, 0.333, 0.347)
In (0.333, 0.667, 0.653)
In (0.000, 0.000, 0.000)
Ir (0.000, 0.000, 0.500)
Ir (0.667, 0.333, 0.157)
Ir (0.333, 0.667, 0.843)
O (0.830, 0.659, 0.085)
O (0.842, 0.685, 0.422)
O (0.513, 0.026, 0.242)
O (0.974, 0.487, 0.242)
O (0.685, 0.842, 0.578)
O (0.315, 0.158, 0.422)
O (0.158, 0.842, 0.578)
O (0.158, 0.315, 0.578)
O (0.341, 0.170, 0.085)
O (0.842, 0.158, 0.422)
O (0.830, 0.170, 0.085)
O (0.170, 0.341, 0.915)
O (0.170, 0.830, 0.915)
O (0.513, 0.487, 0.242)
O (0.659, 0.830, 0.915)
O (0.026, 0.513, 0.758)
O (0.487, 0.974, 0.758)
O (0.487, 0.513, 0.758)

Results
Symmetry = P-3m1 (164)
Crystal system = trigonal
Formation enthalpy at 0 K = -2189 meV/atom

Entry 8:
Pr2S2F: optimized geometry, GGA-PBE.

abc: 5.436 5.436 13.643
angles: 90.00 90.00 90.00
Positions (direct):
Pr (0.500, 0.500, 0.182)
Pr (0.500, 0.500, 0.818)
S (0.500, 0.500, 0.643)
S (0.500, 0.500, 0.357)
F (0.500, 0.500, 0.000)

Results
Symmetry = P4/mmm (123)
Crystal system = tetragonal
Formation enthalpy at 0 K = -711 meV/atom

Entry 9:
RbCeMg14: optimized geometry, GGA-PBE.

abc: 6.740 6.740 10.532
angles: 90.00 90.00 120.00
Positions (direct):
Rb (0.167, 0.333, 0.625)
Ce (0.167, 0.333, 0.125)
Mg (0.173, 0.836, 0.125)
Mg (0.173, 0.837, 0.625)
Mg (0.664, 0.327, 0.125)
Mg (0.663, 0.327, 0.625)
Mg (0.664, 0.836, 0.125)
Mg (0.663, 0.837, 0.625)
Mg (0.341, 0.159, 0.366)
Mg (0.341, 0.159, 0.884)
Mg (0.341, 0.683, 0.366)
Mg (0.341, 0.683, 0.884)
Mg (0.817, 0.159, 0.366)
Mg (0.817, 0.159, 0.884)
Mg (0.833, 0.667, 0.371)
Mg (0.833, 0.667, 0.879)

Results
Energy relative to the lowest polymorph listed for this composition = 0.0 kJ/mol of atoms
Symmetry = P-6m2 (187)
Crystal system = hexagonal
Formation enthalpy at 0 K = 155 meV/atom

Entry 10:
LiVBi: optimized geometry, GGA-PBE.

abc: 4.436 4.436 4.436
angles: 60.00 60.00 60.00
Positions (direct):
Li (0.750, 0.750, 0.750)
V (0.500, 0.500, 0.500)
Bi (0.000, 0.000, 0.000)

Results
Symmetry = F-43m (216)
Crystal system = cubic
Formation enthalpy at 0 K = 299 meV/atom

Entry 11:
K2Mg3P4H20O24: optimized geometry, GGA-PBE.

abc: 6.649 7.598 20.542
angles: 86.78 90.00 90.00
Positions (direct):
K (0.519, 0.761, 0.944)
K (0.981, 0.761, 0.444)
K (0.019, 0.239, 0.556)
K (0.481, 0.239, 0.056)
Mg (0.500, 0.000, 0.500)
Mg (0.000, 0.000, 0.000)
Mg (0.446, 0.767, 0.765)
Mg (0.054, 0.767, 0.265)
Mg (0.946, 0.233, 0.735)
Mg (0.554, 0.233, 0.235)
P (0.721, 0.934, 0.646)
P (0.779, 0.934, 0.146)
P (0.674, 0.538, 0.653)
P (0.174, 0.462, 0.847)
P (0.826, 0.538, 0.153)
P (0.326, 0.462, 0.347)
P (0.221, 0.066, 0.854)
P (0.279, 0.066, 0.354)
H (0.323, 0.937, 0.615)
H (0.177, 0.937, 0.115)
H (0.069, 0.846, 0.709)
H (0.844, 0.849, 0.810)
H (0.207, 0.816, 0.569)
H (0.431, 0.846, 0.209)
H (0.656, 0.849, 0.310)
H (0.293, 0.816, 0.069)
H (0.006, 0.664, 0.954)
H (0.565, 0.653, 0.528)
H (0.827, 0.644, 0.803)
H (0.494, 0.664, 0.454)
H (0.098, 0.645, 0.738)
H (0.935, 0.653, 0.028)
H (0.673, 0.644, 0.303)
H (0.402, 0.645, 0.238)
H (0.079, 0.583, 0.611)
H (0.298, 0.562, 0.582)
H (0.421, 0.583, 0.111)
H (0.798, 0.438, 0.918)
H (0.202, 0.562, 0.082)
H (0.579, 0.417, 0.889)
H (0.702, 0.438, 0.418)
H (0.921, 0.417, 0.389)
H (0.598, 0.355, 0.762)
H (0.327, 0.356, 0.697)
H (0.065, 0.347, 0.972)
H (0.902, 0.355, 0.262)
H (0.506, 0.336, 0.546)
H (0.173, 0.356, 0.197)
H (0.435, 0.347, 0.472)
H (0.994, 0.336, 0.046)
H (0.707, 0.184, 0.931)
H (0.344, 0.151, 0.690)
H (0.569, 0.154, 0.791)
H (0.793, 0.184, 0.431)
H (0.156, 0.151, 0.190)
H (0.931, 0.154, 0.291)
H (0.823, 0.063, 0.885)
H (0.677, 0.063, 0.385)
O (0.396, 0.985, 0.818)
O (0.704, 0.004, 0.575)
O (0.519, 0.937, 0.683)
O (0.104, 0.985, 0.318)
O (0.264, 0.937, 0.570)
O (0.796, 0.004, 0.075)
O (0.981, 0.937, 0.183)
O (0.236, 0.937, 0.070)
O (0.942, 0.735, 0.987)
O (0.747, 0.751, 0.810)
O (0.169, 0.752, 0.720)
O (0.789, 0.726, 0.644)
O (0.558, 0.735, 0.487)
O (0.753, 0.751, 0.310)
O (0.331, 0.752, 0.220)
O (0.711, 0.726, 0.144)
O (0.346, 0.594, 0.840)
O (0.157, 0.598, 0.570)
O (0.537, 0.542, 0.714)
O (0.154, 0.594, 0.340)
O (0.049, 0.484, 0.909)
O (0.549, 0.516, 0.591)
O (0.343, 0.598, 0.070)
O (0.963, 0.542, 0.214)
O (0.037, 0.458, 0.786)
O (0.657, 0.402, 0.930)
O (0.451, 0.484, 0.409)
O (0.951, 0.516, 0.091)
O (0.846, 0.406, 0.660)
O (0.463, 0.458, 0.286)
O (0.843, 0.402, 0.430)
O (0.654, 0.406, 0.160)
O (0.289, 0.274, 0.856)
O (0.669, 0.248, 0.780)
O (0.247, 0.249, 0.690)
O (0.442, 0.265, 0.513)
O (0.211, 0.274, 0.356)
O (0.831, 0.248, 0.280)
O (0.253, 0.249, 0.190)
O (0.058, 0.265, 0.013)
O (0.764, 0.063, 0.930)
O (0.019, 0.063, 0.817)
O (0.204, 0.996, 0.925)
O (0.736, 0.063, 0.430)
O (0.896, 0.015, 0.682)
O (0.481, 0.063, 0.317)
O (0.296, 0.996, 0.425)
O (0.604, 0.015, 0.182)

Results
Symmetry = P2_1/c (14)
Crystal system = monoclinic
Formation enthalpy at 0 K = -1981 meV/atom

Entry 12:
Zn2FeS3: optimized geometry, GGA-PBE.

abc: 3.829 3.829 9.453
angles: 90.00 90.00 120.00
Positions (direct):
Zn (0.667, 0.333, 0.334)
Zn (0.333, 0.667, 0.667)
Fe (0.000, 0.000, 0.001)
S (0.000, 0.000, 0.247)
S (0.667, 0.333, 0.583)
S (0.333, 0.667, 0.918)

Results
Energy relative to the lowest polymorph listed for this composition = 0.3 kJ/mol of atoms
Symmetry = P3m1 (156)
Crystal system = trigonal
Formation enthalpy at 0 K = -822 meV/atom

The lowest formation enthalpy at 0 K belongs to which entry?
Ba2InIrO6